## NiP2H14O12 (PBE+U)

Data for a relaxed NiP2H14O12 crystal.

* calculated total energy: -313.84 eV/cell
* energy of formation: -44.223 eV per formula unit

Unit cell a=9.302 b=5.963 c=12.956 alpha=90.00 beta=130.74 gamma=90.00
Fractional coordinates of all 58 atoms:
Ni  0.000  0.000  0.000
Ni  0.000  0.500  0.500
P  0.459  0.145  0.529
P  0.459  0.355  0.029
P  0.541  0.645  0.971
P  0.541  0.855  0.471
H  0.110  0.163  0.869
H  0.110  0.337  0.369
H  0.117  0.693  0.728
H  0.117  0.807  0.228
H  0.188  0.227  0.710
H  0.188  0.273  0.210
H  0.224  0.149  0.611
H  0.224  0.351  0.111
H  0.296  0.724  0.085
H  0.296  0.776  0.585
H  0.345  0.555  0.394
H  0.345  0.945  0.894
H  0.379  0.590  0.696
H  0.379  0.910  0.196
H  0.621  0.090  0.804
H  0.621  0.410  0.304
H  0.655  0.055  0.106
H  0.655  0.445  0.606
H  0.704  0.224  0.415
H  0.704  0.276  0.915
H  0.776  0.649  0.889
H  0.776  0.851  0.389
H  0.812  0.727  0.790
H  0.812  0.773  0.290
H  0.883  0.193  0.772
H  0.883  0.307  0.272
H  0.890  0.663  0.631
H  0.890  0.837  0.131
O  0.007  0.604  0.653
O  0.007  0.896  0.153
O  0.126  0.206  0.613
O  0.126  0.294  0.113
O  0.277  0.619  0.598
O  0.277  0.881  0.098
O  0.314  0.210  0.903
O  0.314  0.290  0.403
O  0.347  0.716  0.370
O  0.347  0.784  0.870
O  0.405  0.054  0.610
O  0.405  0.446  0.110
O  0.595  0.554  0.890
O  0.595  0.946  0.390
O  0.653  0.216  0.130
O  0.653  0.284  0.630
O  0.686  0.710  0.597
O  0.686  0.790  0.097
O  0.723  0.119  0.902
O  0.723  0.381  0.402
O  0.874  0.706  0.887
O  0.874  0.794  0.387
O  0.993  0.104  0.847
O  0.993  0.396  0.347

***

## Rb2NiP4H8O16 (PBE+U)

Data for a relaxed Rb2NiP4H8O16 crystal.

* calculated total energy: -186.82 eV/cell
* energy of formation: -64.647 eV per formula unit

Unit cell a=7.046 b=7.413 c=7.765 alpha=82.51 beta=71.69 gamma=86.93
Fractional coordinates of all 31 atoms:
Rb  0.097  0.216  0.289
Rb  0.903  0.784  0.711
Ni  0.500  0.000  0.500
P  0.239  0.299  0.752
P  0.350  0.761  0.239
P  0.650  0.239  0.761
P  0.761  0.701  0.248
H  0.080  0.766  0.086
H  0.266  0.531  0.458
H  0.382  0.817  0.845
H  0.383  0.681  0.700
H  0.617  0.319  0.300
H  0.618  0.183  0.155
H  0.734  0.469  0.542
H  0.920  0.234  0.914
O  0.051  0.283  0.927
O  0.248  0.148  0.635
O  0.260  0.492  0.653
O  0.260  0.568  0.325
O  0.274  0.831  0.081
O  0.314  0.884  0.388
O  0.412  0.270  0.852
O  0.447  0.790  0.717
O  0.553  0.210  0.283
O  0.588  0.730  0.148
O  0.686  0.116  0.612
O  0.726  0.169  0.919
O  0.740  0.432  0.675
O  0.740  0.508  0.347
O  0.752  0.852  0.365
O  0.949  0.717  0.073